(1)
Here is Li7Mn2Co3O12 after structural relaxation from Materials Project. Energies are from GGA+U.

a b c (Å): 5.8074 6.5566 6.5900
angles (deg): 96.75 115.99 102.79
Closest atoms and distances in Å follow each position.
Space group P1 (No. 1)
One atom of each set of equivalent atoms:
1 Li 0.0000 0.0000 0.0000  6 O 2.08-2.17
2 Li 0.9999 0.3210 0.3273  6 O 2.08-2.16
3 Li 0.5016 0.3253 0.3368  6 O 2.09-2.18
4 Li 0.5084 0.6529 0.6694  6 O 2.04-2.25
5 Li 0.5093 0.0033 0.0012  6 O 2.08-2.20
6 Li 0.7537 0.3258 0.8392  6 O 2.06-2.14
7 Li 0.9978 0.6555 0.6712  6 O 2.10-2.25
8 Mn 0.2503 0.6585 0.1649  6 O 1.92-1.98
9 Mn 0.7552 0.6566 0.1668  6 O 1.90-1.97
10 Co 0.2572 0.3162 0.8333  6 O 1.92-2.13
11 Co 0.2713 0.0039 0.5164  5 O 1.88-2.06
12 Co 0.7616 0.0168 0.5120  3 O 1.83-2.04
13 O 0.1124 0.6577 0.3863  2 Mn 1.94-1.95, 1 Li 2.09, 1 Co 2.16
14 O 0.1231 0.9937 0.7470  3 Co 2.00-2.05, 3 Li 2.08-2.11
15 O 0.1435 0.3496 0.0774  1 Mn 1.92, 1 Co 2.00, 2 Li 2.07-2.09
16 O 0.3656 0.3240 0.5977  2 Co 1.92-1.99, 3 Li 2.05-2.11
17 O 0.3756 0.9741 0.2558  1 Mn 1.96, 2 Co 2.06, 3 Li 2.15-2.18
18 O 0.3929 0.6595 0.9462  2 Mn 1.95-1.97, 1 Co 2.13, 1 Li 2.14
19 O 0.6036 0.9807 0.7301  2 Co 1.88-2.03, 2 Li 2.04-2.08
20 O 0.6191 0.6710 0.3930  2 Mn 1.97-1.98, 1 Co 2.15, 3 Li 2.15-2.19
21 O 0.6313 0.3497 0.0878  1 Mn 1.90, 1 Co 2.02, 3 Li 2.06-2.10
22 O 0.8755 0.3117 0.5820  1 Co 1.83
23 O 0.8893 0.9732 0.2646  1 Mn 1.96, 2 Co 2.05-2.08, 3 Li 2.12-2.20
24 O 0.8938 0.6611 0.9484  2 Mn 1.93-1.94, 3 Li 2.08-2.16

Summary:
M_tot in μB per cell: 10.0
Uncorrected energy in Ry per atom: -0.42866
Polymorph energy (0 for the lowest one) in meV/atom: 97
Formation enthalpy at 0 K in eV/f.u.: -44.079

=====

(2)
Here is Li4MnCo2O7 after structural relaxation from Materials Project. Energies are from GGA+U.

a b c (Å): 2.9180 5.1246 16.8414
angles (deg): 87.63 88.01 89.01
Closest atoms and distances in Å follow each position.
Space group P-1 (No. 2)
One atom of each set of equivalent atoms:
1 Li 0.0000 0.0000 0.0000  6 O 2.04-2.17
2 Li 0.0604 0.3500 0.8616  5 O 1.99-2.20
3 Li 0.2177 0.0730 0.5710  6 O 2.08-2.21
4 Li 0.3535 0.7794 0.2875  5 O 2.06-2.18
5 Li 0.5000 0.5000 0.0000  6 O 2.12-2.30
6 Mn 0.4351 0.1295 0.1383  5 O 1.82-2.00
7 Co 0.1340 0.7095 0.7141  6 O 1.91-2.11
8 Co 0.2892 0.4310 0.4292  4 O 1.87-2.00
9 O 0.0564 0.6991 0.9196  2 Mn 1.94-1.95, 3 Li 2.07-2.12
10 O 0.0763 0.0144 0.7920  2 Mn 1.99-2.00, 1 Co 2.08, 2 Li 2.11-2.12
11 O 0.1324 0.4023 0.6387  2 Co 1.88-2.06, 2 Li 2.06-2.08
12 O 0.2877 0.7289 0.5024  2 Co 1.87-2.00
13 O 0.3187 0.1319 0.3562  3 Co 1.95-2.11, 1 Li 2.10
14 O 0.4111 0.4357 0.2175  2 Co 1.91-2.06, 1 Mn 2.10
15 O 0.4549 0.8425 0.0782  1 Mn 1.82, 3 Li 1.99-2.04

Summary:
M_tot in μB per cell: 10.0
Uncorrected energy in Ry per atom: -0.42934
Polymorph energy (0 for the lowest one) in meV/atom: 35
Formation enthalpy at 0 K in eV/f.u.: -25.883

=====

(3)
Here is Li7Mn4CoO12 after structural relaxation from Materials Project. Energies are from GGA+U.

a b c (Å): 5.0788 5.9407 7.7705
angles (deg): 102.56 96.22 106.12
Closest atoms and distances in Å follow each position.
Space group P1 (No. 1)
One atom of each set of equivalent atoms:
1 Li 0.0000 0.0000 0.0000  6 O 2.04-2.26
2 Li 0.0010 0.6609 0.6818  5 O 2.02-2.22
3 Li 0.0104 0.4879 0.0082  6 O 2.01-2.25
4 Li 0.0155 0.8270 0.3398  5 O 2.06-2.22
5 Li 0.0177 0.1567 0.6869  4 O 1.99-2.23
6 Li 0.5084 0.0775 0.8447  6 O 2.07-2.14
7 Li 0.9988 0.3232 0.3382  5 O 2.00-2.21
8 Mn 0.5030 0.5718 0.8444  6 O 1.92-2.00
9 Mn 0.5051 0.2385 0.5130  6 O 1.93-1.98
10 Mn 0.5073 0.7448 0.5125  4 O 1.94-1.99
11 Mn 0.5131 0.9181 0.1718  6 O 1.91-2.02
12 Co 0.5065 0.4025 0.1667  6 O 2.00-2.18
13 O 0.2720 0.4332 0.6037  2 Mn 1.95-1.97, 1 Li 2.06
14 O 0.2743 0.3093 0.9223  1 Mn 1.92, 3 Li 1.99-2.09, 1 Co 2.00
15 O 0.2817 0.1096 0.2693  2 Mn 1.95-1.97, 1 Li 2.06, 1 Co 2.16
16 O 0.2836 0.7790 0.9372  2 Mn 1.93-1.96, 2 Li 2.11-2.14
17 O 0.2844 0.9605 0.5819  2 Mn 1.94-1.96, 3 Li 2.06-2.14
18 O 0.2925 0.6443 0.2644  2 Mn 1.99-2.02, 2 Li 2.06-2.17, 1 Co 2.10
19 O 0.7217 0.5184 0.4343  2 Mn 1.98-1.99, 1 Co 2.11, 2 Li 2.11-2.15
20 O 0.7269 0.8387 0.7524  2 Mn 1.94-2.00, 3 Li 2.02-2.10
21 O 0.7277 0.3718 0.7504  2 Mn 1.93-1.95, 2 Li 2.10-2.12
22 O 0.7378 0.7142 0.0801  2 Mn 1.95-1.96, 1 Li 2.10
23 O 0.7393 0.0491 0.4166  2 Mn 1.95-1.98, 1 Li 2.04
24 O 0.7419 0.1838 0.1009  1 Mn 1.91, 3 Li 2.00-2.07, 1 Co 2.02

Summary:
M_tot in μB per cell: 16.0
Uncorrected energy in Ry per atom: -0.45787
Polymorph energy (0 for the lowest one) in meV/atom: 19
Formation enthalpy at 0 K in eV/f.u.: -49.570

=====

(4)
Here is Li7Mn4CoO12 after structural relaxation from Materials Project. Energies are from GGA+U.

a b c (Å): 5.8324 2.8680 13.3262
angles (deg): 90.00 102.13 90.00
Closest atoms and distances in Å follow each position.
Space group Pm (No. 6)
One atom of each set of equivalent atoms:
1 Li 0.0000 0.0000 0.0000  6 O 2.06-2.15
2 Li 0.0007 0.5000 0.4973  6 O 2.11-2.31
3 Li 0.3332 0.5000 0.1589  6 O 2.14-2.27
4 Li 0.3348 0.0000 0.6708  6 O 2.11-2.23
5 Li 0.5015 0.0000 0.0007  6 O 2.05-2.20
6 Li 0.6657 0.0000 0.3283  6 O 2.08-2.18
7 Li 0.6664 0.5000 0.8427  6 O 2.13-2.28
8 Mn 0.1789 0.5000 0.8467  5 O 1.80-1.96
9 Mn 0.4954 0.5000 0.4963  5 O 1.97-2.20
10 Mn 0.8247 0.5000 0.1557  5 O 1.80-1.96
11 Mn 0.8365 0.0000 0.6710  5 O 1.96-2.18
12 Co 0.1618 0.0000 0.3261  5 O 1.93-2.10
13 O 0.0585 0.0000 0.1651  2 Mn 1.96, 1 Co 2.10, 3 Li 2.15-2.16
14 O 0.0692 0.5000 0.6746  2 Mn 1.97, 2 Li 2.12
15 O 0.2453 0.5000 0.9845  1 Mn 1.80
16 O 0.2664 0.0000 0.4996  2 Mn 1.97, 2 Li 2.11
17 O 0.3846 0.5000 0.3279  2 Co 1.93
18 O 0.3930 0.0000 0.8324  2 Mn 1.94, 3 Li 2.11-2.13
19 O 0.6078 0.5000 0.6701  2 Mn 1.96, 2 Li 2.14
20 O 0.6096 0.0000 0.1692  2 Mn 1.94, 3 Li 2.08-2.14
21 O 0.7268 0.0000 0.4944  2 Mn 1.97, 3 Li 2.14-2.17
22 O 0.7581 0.5000 0.0176  1 Mn 1.80
23 O 0.9354 0.5000 0.3224  2 Co 1.94, 2 Li 2.14
24 O 0.9451 0.0000 0.8376  3 Mn 1.96-2.18, 3 Li 2.12-2.18

Summary:
M_tot in μB per cell: 16.0
Uncorrected energy in Ry per atom: -0.45595
Polymorph energy (0 for the lowest one) in meV/atom: 45
Formation enthalpy at 0 K in eV/f.u.: -48.943

=====

(5)
Here is Li5Mn2CoO8 after structural relaxation from Materials Project. Energies are from GGA+U.

a b c (Å): 2.8856 6.4655 15.3615
angles (deg): 88.39 89.54 77.18
Closest atoms and distances in Å follow each position.
Space group P-1 (No. 2)
One atom of each set of equivalent atoms:
1 Li 0.0741 0.3594 0.1873  6 O 2.07-2.21
2 Li 0.1930 0.1247 0.5679  5 O 1.98-2.21
3 Li 0.2504 0.9954 0.7487  6 O 2.08-2.11
4 Li 0.3011 0.8791 0.9295  4 O 1.99-2.12
5 Li 0.4248 0.6467 0.3131  6 O 2.09-2.24
6 Mn 0.1257 0.2466 0.3742  6 O 1.83-2.02
7 Mn 0.3763 0.7610 0.1299  5 O 1.83-1.97
8 Co 0.0000 0.5000 0.0000  6 O 1.98-2.06
9 Co 0.5000 0.5000 0.5000  6 O 1.93-1.95
10 O 0.0214 0.4522 0.5836  2 Co 1.95, 1 Mn 2.02, 1 Li 2.09
11 O 0.0914 0.3084 0.7902  2 Mn 1.93-1.94, 4 Li 2.09-2.16
12 O 0.1402 0.1979 0.9567  2 Mn 1.97, 1 Co 2.03, 1 Li 2.06
13 O 0.2342 0.0432 0.1543  1 Mn 1.83, 2 Li 1.99
14 O 0.2671 0.9636 0.3501  1 Mn 1.83, 2 Li 1.98-1.99
15 O 0.3588 0.7895 0.5386  1 Co 1.93, 2 Mn 1.98
16 O 0.4053 0.6841 0.7049  2 Mn 1.93, 2 Li 2.09-2.11
17 O 0.4588 0.5480 0.9096  2 Co 1.98-2.06, 1 Mn 2.06, 3 Li 2.12-2.16

Summary:
M_tot in μB per cell: 12.0
Uncorrected energy in Ry per atom: -0.44298
Polymorph energy (0 for the lowest one) in meV/atom: 13
Formation enthalpy at 0 K in eV/f.u.: -32.342

=====

(6)
Here is Li7Mn2Co3O12 after structural relaxation from Materials Project. Energies are from GGA+U.

a b c (Å): 15.3586 2.9001 10.3094
angles (deg): 90.00 109.35 90.00
Closest atoms and distances in Å follow each position.
Space group C2/m (No. 12)
One atom of each set of equivalent atoms:
1 Li 0.0000 0.0000 0.0000  6 O 2.10-2.15
2 Li 0.0022 0.5000 0.7681  5 O 2.05-2.26
3 Li 0.1632 0.0000 0.4080  6 O 1.97-2.19
4 Li 0.1662 0.0000 0.9213  6 O 2.03-2.21
5 Mn 0.1692 0.5000 0.6699  6 O 1.93-1.99
6 Co 0.0000 0.0000 0.5000  6 O 1.99-2.16
7 Co 0.1520 0.5000 0.1462  3 O 1.78-1.98
8 O 0.0828 0.5000 0.4775  1 Mn 1.99, 2 Co 1.99, 2 Li 2.17
9 O 0.0885 0.0000 0.2109  4 Li 1.97-2.15, 2 Co 1.98
10 O 0.0892 0.5000 0.9674  1 Co 1.78
11 O 0.0950 0.0000 0.7082  2 Mn 1.96, 1 Li 2.10, 1 Co 2.16
12 O 0.2397 0.0000 0.6274  2 Mn 1.95, 1 Li 2.18
13 O 0.2486 0.0000 0.1428  1 Mn 1.93, 2 Co 2.08

Summary:
M_tot in μB per cell: 21.2
Uncorrected energy in Ry per atom: -0.42704
Polymorph energy (0 for the lowest one) in meV/atom: 119
Formation enthalpy at 0 K in eV/f.u.: -43.552

=====

no.,total energy after the MP2020 corrections (eV per cell)
1,-156.47
2,-183.07
3,-166.06
4,-165.44
5,-213.81
6,-311.88